First-principles (PBE+U) data for a geometry-optimized Na3MgMn2SbO6 structure, as listed in the Materials Project database.

Computed properties:
formation energy: -23.98 eV/f.u.
DFT total energy: -74.23 eV/f.u.
V: 14.981 Å³ per atom

```
data_Na3MgMn2SbO6
_space_group_name_H-M_alt 'C 1 m 1'
_space_group_IT_number 8
_space_group_name_Hall 'C -2y'
_cell_length_a 6.5928
_cell_length_b 10.5397
_cell_length_c 5.6377
_cell_angle_alpha 90.00
_cell_angle_beta 96.11
_cell_angle_gamma 90.00
loop_
_atom_site_label
_atom_site_type_symbol
_atom_site_fract_x
_atom_site_fract_y
_atom_site_fract_z
Na1 Na 0.0000 0.0000 0.0000
Na2 Na 0.0384 0.2714 0.9879
Mg1 Mg 0.3976 0.0000 0.0701
Mn1 Mn 0.2305 0.1583 0.5203
Sb1 Sb 0.2300 0.5000 0.5242
O1 O 0.2020 0.5000 0.1688
O2 O 0.2664 0.1491 0.1756
O3 O 0.3275 0.0000 0.7203
O4 O 0.4126 0.3440 0.6174
```

First-principles (PBE+U) data for a geometry-optimized Mg6MnNbO8 structure, as listed in the Materials Project database.

Computed properties:
formation energy: -41.64 eV/f.u.
DFT total energy: -102.92 eV/f.u.
energy above the lowest structure with this stoichiometry: 26 meV/atom
V: 10.371 Å³ per atom

```
data_Mg6MnNbO8
_space_group_name_H-M_alt 'P 4/m m m'
_space_group_IT_number 123
_space_group_name_Hall '-P 4 2'
_cell_length_a 4.3345
_cell_length_b 4.3345
_cell_length_c 8.8322
_cell_angle_alpha 90.00
_cell_angle_beta 90.00
_cell_angle_gamma 90.00
loop_
_atom_site_label
_atom_site_type_symbol
_atom_site_fract_x
_atom_site_fract_y
_atom_site_fract_z
Mg1 Mg 0.0000 0.0000 0.0000
Mg2 Mg 0.0000 0.0000 0.5000
Mg3 Mg 0.0000 0.5000 0.2465
Mn1 Mn 0.5000 0.5000 0.0000
Nb1 Nb 0.5000 0.5000 0.5000
O1 O 0.0000 0.0000 0.2506
O2 O 0.0000 0.5000 0.0000
O3 O 0.0000 0.5000 0.5000
O4 O 0.5000 0.5000 0.2450
```

First-principles (PBE+U) data for a geometry-optimized MgMn6Nb4O18 structure, as listed in the Materials Project database.

Computed properties:
formation energy: -72.11 eV/f.u.
DFT total energy: -235.78 eV/f.u.
energy above the lowest structure with this stoichiometry: 78 meV/atom
V: 13.316 Å³ per atom

```
data_MgMn6Nb4O18
_space_group_name_H-M_alt 'P 1'
_space_group_IT_number 1
_space_group_name_Hall 'P 1'
_cell_length_a 5.3743
_cell_length_b 5.3958
_cell_length_c 15.3195
_cell_angle_alpha 94.48
_cell_angle_beta 95.53
_cell_angle_gamma 118.10
loop_
_atom_site_label
_atom_site_type_symbol
_atom_site_fract_x
_atom_site_fract_y
_atom_site_fract_z
Mg1 Mg 0.0000 0.0000 0.0000
Mn1 Mn 0.3233 0.6490 0.0242
Mn2 Mn 0.4673 0.7953 0.5057
Mn3 Mn 0.6693 0.3452 0.0583
Mn4 Mn 0.7724 0.4279 0.3313
Mn5 Mn 0.8162 0.4705 0.5336
Mn6 Mn 0.8179 0.3928 0.8302
Nb1 Nb 0.0709 0.0677 0.1804
Nb2 Nb 0.0851 0.0767 0.3735
Nb3 Nb 0.1309 0.0408 0.8332
Nb4 Nb 0.2074 0.1895 0.6412
O1 O 0.0374 0.3264 0.0954
O2 O 0.0575 0.2784 0.7516
O3 O 0.0709 0.7180 0.9237
O4 O 0.0716 0.4223 0.4224
O5 O 0.1828 0.8508 0.5864
O6 O 0.3195 0.0160 0.1046
O7 O 0.3794 0.2917 0.9484
O8 O 0.3814 0.3169 0.2763
O9 O 0.4334 0.1324 0.7590
O10 O 0.4340 0.1228 0.4311
O11 O 0.4779 0.4845 0.5895
O12 O 0.7388 0.7597 0.0850
O13 O 0.7932 0.7481 0.4180
O14 O 0.8302 0.1508 0.2670
O15 O 0.8315 0.1048 0.8951
O16 O 0.8614 0.1354 0.5756
O17 O 0.8607 0.6882 0.7652
O18 O 0.9979 0.7802 0.2653
```

First-principles (PBE+U) data for a geometry-optimized MgMn6Nb4O18 structure, as listed in the Materials Project database.

Computed properties:
formation energy: -73.87 eV/f.u.
DFT total energy: -237.54 eV/f.u.
energy above the lowest structure with this stoichiometry: 17 meV/atom
V: 12.393 Å³ per atom

```
data_MgMn6Nb4O18
_space_group_name_H-M_alt 'P 3'
_space_group_IT_number 143
_space_group_name_Hall 'P 3'
_cell_length_a 5.3441
_cell_length_b 5.3441
_cell_length_c 14.5307
_cell_angle_alpha 90.00
_cell_angle_beta 90.00
_cell_angle_gamma 120.00
loop_
_atom_site_label
_atom_site_type_symbol
_atom_site_fract_x
_atom_site_fract_y
_atom_site_fract_z
Mg1 Mg 0.0000 0.0000 0.0000
Mn1 Mn 0.0000 0.0000 0.3072
Mn2 Mn 0.0000 0.0000 0.7895
Mn3 Mn 0.3333 0.6667 0.0160
Mn4 Mn 0.3333 0.6667 0.2803
Mn5 Mn 0.3333 0.6667 0.4846
Mn6 Mn 0.3333 0.6667 0.7941
Nb1 Nb 0.6667 0.3333 0.1605
Nb2 Nb 0.6667 0.3333 0.4466
Nb3 Nb 0.6667 0.3333 0.6594
Nb4 Nb 0.6667 0.3333 0.9432
O1 O 0.0037 0.6774 0.8955
O2 O 0.0276 0.3705 0.3924
O3 O 0.3448 0.3175 0.2222
O4 O 0.3583 0.0232 0.7227
O5 O 0.3780 0.0619 0.0491
O6 O 0.4276 0.4045 0.5453
```

First-principles (PBE+U) data for a geometry-optimized MgMn6Nb4O18 structure, as listed in the Materials Project database.

Computed properties:
formation energy: -72.79 eV/f.u.
DFT total energy: -236.46 eV/f.u.
energy above the lowest structure with this stoichiometry: 54 meV/atom
V: 12.758 Å³ per atom

```
data_MgMn6Nb4O18
_space_group_name_H-M_alt 'P 1'
_space_group_IT_number 1
_space_group_name_Hall 'P 1'
_cell_length_a 5.2561
_cell_length_b 5.3582
_cell_length_c 14.9357
_cell_angle_alpha 89.05
_cell_angle_beta 89.84
_cell_angle_gamma 61.61
loop_
_atom_site_label
_atom_site_type_symbol
_atom_site_fract_x
_atom_site_fract_y
_atom_site_fract_z
Mg1 Mg 0.0000 0.0000 0.0000
Mn1 Mn 0.0232 0.9524 0.6307
Mn2 Mn 0.0324 0.9354 0.8289
Mn3 Mn 0.0384 0.9561 0.3769
Mn4 Mn 0.3165 0.3088 0.1752
Mn5 Mn 0.3623 0.2857 0.6649
Mn6 Mn 0.9866 0.9744 0.1808
Nb1 Nb 0.6632 0.6518 0.0212
Nb2 Nb 0.6729 0.6150 0.3161
Nb3 Nb 0.6921 0.6264 0.5236
Nb4 Nb 0.7009 0.6034 0.8137
O1 O 0.0110 0.2743 0.7568
O2 O 0.0221 0.5971 0.5850
O3 O 0.3089 0.9597 0.2698
O4 O 0.3257 0.6914 0.0816
O5 O 0.3507 0.8776 0.9097
O6 O 0.3735 0.6313 0.7506
O7 O 0.3846 0.6603 0.4199
O8 O 0.3964 0.9388 0.5859
O9 O 0.6554 0.3182 0.2486
O10 O 0.6806 0.3178 0.5861
O11 O 0.6898 0.9594 0.0785
O12 O 0.7455 0.9190 0.7519
O13 O 0.7516 0.8674 0.4166
O14 O 0.7544 0.3419 0.9193
O15 O 0.9088 0.7358 0.9153
O16 O 0.9097 0.3408 0.4128
O17 O 0.9695 0.3249 0.0828
O18 O 0.9742 0.6425 0.2490
```

First-principles (PBE+U) data for a geometry-optimized MgMn6Nb4O18 structure, as listed in the Materials Project database.

Computed properties:
formation energy: -72.54 eV/f.u.
DFT total energy: -236.21 eV/f.u.
energy above the lowest structure with this stoichiometry: 63 meV/atom
V: 12.961 Å³ per atom

```
data_MgMn6Nb4O18
_space_group_name_H-M_alt 'P 1'
_space_group_IT_number 1
_space_group_name_Hall 'P 1'
_cell_length_a 5.2480
_cell_length_b 5.3539
_cell_length_c 15.0283
_cell_angle_alpha 91.57
_cell_angle_beta 93.65
_cell_angle_gamma 116.65
loop_
_atom_site_label
_atom_site_type_symbol
_atom_site_fract_x
_atom_site_fract_y
_atom_site_fract_z
Mg1 Mg 0.0000 0.0000 0.0000
Mn1 Mn 0.6006 0.2739 0.5302
Mn2 Mn 0.6604 0.3362 0.0113
Mn3 Mn 0.9029 0.9493 0.7572
Mn4 Mn 0.9117 0.9198 0.3650
Mn5 Mn 0.9206 0.9616 0.1887
Mn6 Mn 0.9365 0.9307 0.5537
Nb1 Nb 0.2385 0.5766 0.3828
Nb2 Nb 0.2743 0.6138 0.1730
Nb3 Nb 0.2806 0.5931 0.6770
Nb4 Nb 0.2932 0.6394 0.8861
O1 O 0.0105 0.6929 0.2863
O2 O 0.0599 0.3386 0.7728
O3 O 0.1824 0.3117 0.2798
O4 O 0.2080 0.8546 0.7799
O5 O 0.2184 0.9104 0.4458
O6 O 0.2192 0.8986 0.1159
O7 O 0.2900 0.2890 0.6094
O8 O 0.2942 0.3234 0.9449
O9 O 0.5670 0.8429 0.2876
O10 O 0.5774 0.6403 0.7855
O11 O 0.5807 0.6145 0.1166
O12 O 0.5871 0.6297 0.4504
O13 O 0.6140 0.9488 0.9488
O14 O 0.6267 0.9194 0.6386
O15 O 0.9413 0.2589 0.4391
O16 O 0.9616 0.5929 0.6064
O17 O 0.9692 0.2881 0.1048
O18 O 0.9857 0.6492 0.9447
```

First-principles (PBE+U) data for a geometry-optimized MgMn6Nb4O18 structure, as listed in the Materials Project database.

Computed properties:
formation energy: -71.89 eV/f.u.
DFT total energy: -235.56 eV/f.u.
energy above the lowest structure with this stoichiometry: 85 meV/atom
V: 13.484 Å³ per atom

```
data_MgMn6Nb4O18
_space_group_name_H-M_alt 'P 1'
_space_group_IT_number 1
_space_group_name_Hall 'P 1'
_cell_length_a 5.3720
_cell_length_b 5.5228
_cell_length_c 15.2909
_cell_angle_alpha 83.14
_cell_angle_beta 79.89
_cell_angle_gamma 61.19
loop_
_atom_site_label
_atom_site_type_symbol
_atom_site_fract_x
_atom_site_fract_y
_atom_site_fract_z
Mg1 Mg 0.0000 0.0000 0.0000
Mn1 Mn 0.3910 0.0818 0.5544
Mn2 Mn 0.4557 0.0681 0.1137
Mn3 Mn 0.5849 0.6001 0.0277
Mn4 Mn 0.7195 0.3522 0.7273
Mn5 Mn 0.7338 0.4267 0.5282
Mn6 Mn 0.7574 0.3686 0.2310
Nb1 Nb 0.0100 0.7335 0.6844
Nb2 Nb 0.0470 0.6117 0.8796
Nb3 Nb 0.0826 0.6946 0.2171
Nb4 Nb 0.1148 0.7753 0.4189
O1 O 0.0036 0.4094 0.6339
O2 O 0.0553 0.3762 0.2780
O3 O 0.1045 0.0754 0.4671
O4 O 0.1461 0.9458 0.1149
O5 O 0.2913 0.6542 0.9444
O6 O 0.3341 0.4168 0.7837
O7 O 0.3614 0.6432 0.3017
O8 O 0.3676 0.7139 0.6290
O9 O 0.3736 0.4603 0.4790
O10 O 0.4924 0.3921 0.1463
O11 O 0.6949 0.9177 0.9836
O12 O 0.7286 0.0777 0.6343
O13 O 0.7667 0.7771 0.4704
O14 O 0.7720 0.6040 0.7854
O15 O 0.7828 0.6807 0.1563
O16 O 0.8380 0.0016 0.2921
O17 O 0.9436 0.9498 0.7906
O18 O 0.9650 0.3472 0.9528
```

First-principles (PBE+U) data for a geometry-optimized MgMn6Nb4O18 structure, as listed in the Materials Project database.

Computed properties:
formation energy: -74.37 eV/f.u.
DFT total energy: -238.04 eV/f.u.
energy above the lowest structure with this stoichiometry: 0 meV/atom
V: 12.269 Å³ per atom

```
data_MgMn6Nb4O18
_space_group_name_H-M_alt 'P 1'
_space_group_IT_number 1
_space_group_name_Hall 'P 1'
_cell_length_a 5.3046
_cell_length_b 5.3253
_cell_length_c 14.5233
_cell_angle_alpha 90.04
_cell_angle_beta 90.28
_cell_angle_gamma 119.86
loop_
_atom_site_label
_atom_site_type_symbol
_atom_site_fract_x
_atom_site_fract_y
_atom_site_fract_z
Mg1 Mg 0.0000 0.0000 0.0000
Mn1 Mn 0.0007 0.0006 0.2109
Mn2 Mn 0.6612 0.3331 0.3754
Mn3 Mn 0.6642 0.3319 0.6740
Mn4 Mn 0.6647 0.3314 0.8867
Mn5 Mn 0.6675 0.3332 0.1663
Mn6 Mn 0.9984 0.9987 0.6956
Nb1 Nb 0.3297 0.6650 0.5506
Nb2 Nb 0.3315 0.6651 0.0456
Nb3 Nb 0.3321 0.6663 0.8327
Nb4 Nb 0.3324 0.6681 0.3386
O1 O 0.0200 0.4242 0.4349
O2 O 0.0254 0.3199 0.1039
O3 O 0.0246 0.6790 0.6122
O4 O 0.0521 0.6778 0.9424
O5 O 0.2966 0.9752 0.1037
O6 O 0.3168 0.3439 0.6117
O7 O 0.3202 0.3750 0.9424
O8 O 0.3535 0.0047 0.7781
O9 O 0.3750 0.3481 0.2804
O10 O 0.3967 0.9659 0.4368
O11 O 0.5752 0.5962 0.4364
O12 O 0.6227 0.9441 0.9424
O13 O 0.6480 0.6424 0.7778
O14 O 0.6513 0.0235 0.2796
O15 O 0.6512 0.9706 0.6127
O16 O 0.6782 0.7032 0.1045
O17 O 0.9852 0.6301 0.2748
O18 O 0.9917 0.3492 0.7779
```

Repeat the second record exactly.
First-principles (PBE+U) data for a geometry-optimized Mg6MnNbO8 structure, as listed in the Materials Project database.

Computed properties:
formation energy: -41.64 eV/f.u.
DFT total energy: -102.92 eV/f.u.
energy above the lowest structure with this stoichiometry: 26 meV/atom
V: 10.371 Å³ per atom

```
data_Mg6MnNbO8
_space_group_name_H-M_alt 'P 4/m m m'
_space_group_IT_number 123
_space_group_name_Hall '-P 4 2'
_cell_length_a 4.3345
_cell_length_b 4.3345
_cell_length_c 8.8322
_cell_angle_alpha 90.00
_cell_angle_beta 90.00
_cell_angle_gamma 90.00
loop_
_atom_site_label
_atom_site_type_symbol
_atom_site_fract_x
_atom_site_fract_y
_atom_site_fract_z
Mg1 Mg 0.0000 0.0000 0.0000
Mg2 Mg 0.0000 0.0000 0.5000
Mg3 Mg 0.0000 0.5000 0.2465
Mn1 Mn 0.5000 0.5000 0.0000
Nb1 Nb 0.5000 0.5000 0.5000
O1 O 0.0000 0.0000 0.2506
O2 O 0.0000 0.5000 0.0000
O3 O 0.0000 0.5000 0.5000
O4 O 0.5000 0.5000 0.2450
```

Question: Number 8 is which compound?
Answer: MgMn6Nb4O18

Question: formation energy of number 2 (Mg6MnNbO8)?
Answer: -41.64 eV/f.u.

Question: Which of these has the highest DFT total energy?
Answer: Na3MgMn2SbO6